(1)
DFT (PBE-GGA) results for a relaxed Y2Be2SiO7 crystal.

Unit cell a=7.349 b=7.349 c=4.801 alpha=90.00 beta=90.00 gamma=90.00
Fractional positions:
Y  0.159  0.341  0.008
Y  0.341  0.841  0.992
Y  0.659  0.159  0.992
Y  0.841  0.659  0.008
Be  0.137  0.637  0.540
Be  0.363  0.137  0.460
Be  0.637  0.863  0.460
Be  0.863  0.363  0.540
Si  0.000  0.000  0.500
Si  0.500  0.500  0.500
O  0.000  0.500  0.681
O  0.082  0.837  0.699
O  0.141  0.641  0.209
O  0.163  0.082  0.301
O  0.337  0.582  0.699
O  0.359  0.141  0.791
O  0.418  0.337  0.301
O  0.500  0.000  0.319
O  0.582  0.663  0.301
O  0.641  0.859  0.791
O  0.663  0.418  0.699
O  0.837  0.918  0.301
O  0.859  0.359  0.209
O  0.918  0.163  0.699

SG = P-42_1m
Largest piezoelectric modulus = 0.576 C/m²
Crystal system = tetragonal
ΔE_f = -3.569 eV/atom

---

(2)
DFT (PBE-GGA) results for a relaxed Sr2SmBeO5 crystal.

Unit cell a=9.675 b=7.410 c=6.581 alpha=90.00 beta=90.00 gamma=90.00
Fractional positions:
Sr  0.173  0.025  0.087
Sr  0.173  0.475  0.087
Sr  0.327  0.525  0.587
Sr  0.327  0.975  0.587
Sr  0.673  0.025  0.413
Sr  0.673  0.475  0.413
Sr  0.827  0.525  0.913
Sr  0.827  0.975  0.913
Sm  0.028  0.250  0.592
Sm  0.472  0.750  0.092
Sm  0.528  0.250  0.908
Sm  0.972  0.750  0.408
Be  0.103  0.750  0.812
Be  0.397  0.250  0.312
Be  0.603  0.750  0.688
Be  0.897  0.250  0.188
O  0.013  0.750  0.032
O  0.064  0.564  0.687
O  0.064  0.936  0.687
O  0.215  0.750  0.327
O  0.229  0.250  0.375
O  0.271  0.750  0.875
O  0.285  0.250  0.827
O  0.436  0.064  0.187
O  0.436  0.436  0.187
O  0.487  0.250  0.532
O  0.513  0.750  0.468
O  0.564  0.564  0.813
O  0.564  0.936  0.813
O  0.715  0.750  0.173
O  0.729  0.250  0.125
O  0.771  0.750  0.625
O  0.785  0.250  0.673
O  0.936  0.064  0.313
O  0.936  0.436  0.313
O  0.987  0.250  0.968

SG = Pnma
Crystal system = orthorhombic
ΔE_f = -3.145 eV/atom

---

(3)
DFT (PBE-GGA) results for a relaxed Ta2BeO6 crystal.

Unit cell a=11.530 b=7.431 c=4.943 alpha=90.00 beta=90.00 gamma=90.00
Fractional positions:
Ta  0.133  0.004  0.106
Ta  0.133  0.496  0.106
Ta  0.367  0.504  0.606
Ta  0.367  0.996  0.606
Ta  0.633  0.004  0.394
Ta  0.633  0.496  0.394
Ta  0.867  0.504  0.894
Ta  0.867  0.996  0.894
Be  0.061  0.750  0.599
Be  0.439  0.250  0.099
Be  0.561  0.750  0.901
Be  0.939  0.250  0.401
O  0.034  0.576  0.772
O  0.034  0.924  0.772
O  0.103  0.750  0.296
O  0.141  0.250  0.988
O  0.231  0.066  0.406
O  0.231  0.434  0.406
O  0.269  0.566  0.906
O  0.269  0.934  0.906
O  0.359  0.750  0.488
O  0.397  0.250  0.796
O  0.466  0.076  0.272
O  0.466  0.424  0.272
O  0.534  0.576  0.728
O  0.534  0.924  0.728
O  0.603  0.750  0.204
O  0.641  0.250  0.512
O  0.731  0.066  0.094
O  0.731  0.434  0.094
O  0.769  0.566  0.594
O  0.769  0.934  0.594
O  0.859  0.750  0.012
O  0.897  0.250  0.704
O  0.966  0.076  0.228
O  0.966  0.424  0.228

SG = Pnma
Crystal system = orthorhombic
ΔE_f = -3.184 eV/atom

---

(4)
DFT (PBE-GGA) results for a relaxed Ta2Be2O5 crystal.

Unit cell a=3.533 b=3.533 c=6.429 alpha=90.00 beta=90.00 gamma=90.00
Fractional positions:
Ta  0.000  0.000  0.000
Ta  0.000  0.000  0.500
Be  0.500  0.500  0.246
Be  0.500  0.500  0.754
O  0.000  0.500  0.298
O  0.000  0.500  0.702
O  0.500  0.000  0.298
O  0.500  0.000  0.702
O  0.500  0.500  0.000

SG = P4/mmm
Crystal system = tetragonal
ΔE_f = -1.975 eV/atom

---

(5)
DFT (PBE-GGA) results for a relaxed TbBeO3 crystal.

Unit cell a=3.583 b=3.583 c=3.583 alpha=90.00 beta=90.00 gamma=90.00
Fractional positions:
Tb  0.000  0.000  0.000
Be  0.500  0.500  0.500
O  0.000  0.500  0.500
O  0.500  0.000  0.500
O  0.500  0.500  0.000

SG = Pm-3m
Crystal system = cubic
ΔE_f = -2.901 eV/atom

---

(6)
DFT (PBE-GGA) results for a relaxed ThBeO3 crystal.

Unit cell a=3.659 b=3.659 c=3.659 alpha=90.00 beta=90.00 gamma=90.00
Fractional positions:
Th  0.000  0.000  0.000
Be  0.500  0.500  0.500
O  0.000  0.500  0.500
O  0.500  0.000  0.500
O  0.500  0.500  0.000

SG = Pm-3m
Crystal system = cubic
ΔE_f = -3.459 eV/atom

---

Number 1: theoretical density 4.30 Mg/m³. Number 2: theoretical density 5.84 Mg/m³. Number 3: theoretical density 7.32 Mg/m³. Number 4: theoretical density 9.52 Mg/m³. Number 5: theoretical density 7.80 Mg/m³. Number 6: theoretical density 9.80 Mg/m³.